VASP calculation (r²SCAN) on a relaxed HoPd3 crystal.

Structure (POSCAR):
```
HoPd3
1.0
4.079 0.000 0.000
0.000 4.079 0.000
0.000 0.000 4.079
Ho Pd
1 3
direct
0.000 0.000 0.000
0.000 0.500 0.500
0.500 0.000 0.500
0.500 0.500 0.000
```

Computed properties:
magnetic moment = 0.000 μB per cell
symmetry = Pm-3m, No. 221
energy = -105.500 eV/cell
energy relative to the elements = -0.934 eV per atom

---

VASP calculation (r²SCAN) on a relaxed HoPd crystal.

Structure (POSCAR):
```
HoPd
1.0
6.876 0.000 0.000
0.000 4.596 0.000
0.000 0.000 5.482
Ho Pd
4 4
direct
0.184 0.250 0.143
0.316 0.750 0.643
0.684 0.250 0.357
0.816 0.750 0.857
0.041 0.250 0.654
0.459 0.750 0.154
0.541 0.250 0.846
0.959 0.750 0.346
```

Computed properties:
magnetic moment = 0.000 μB per cell
symmetry = Pnma, No. 62
energy = -231.156 eV/cell
energy relative to the elements = -0.974 eV per atom

---

VASP calculation (r²SCAN) on a relaxed Ho3Pd4 crystal.

Structure (POSCAR):
```
Ho3Pd4
1.0
6.547 3.780 1.898
-6.547 3.780 1.898
0.000 -7.559 1.898
Ho Pd
6 8
direct
0.026 0.277 0.406
0.277 0.406 0.026
0.406 0.026 0.277
0.594 0.974 0.723
0.723 0.594 0.974
0.974 0.723 0.594
0.000 0.000 0.000
0.062 0.549 0.227
0.227 0.062 0.549
0.451 0.773 0.938
0.500 0.500 0.500
0.549 0.227 0.062
0.773 0.938 0.451
0.938 0.451 0.773
```

Computed properties:
magnetic moment = 0.000 μB per cell
symmetry = R-3, No. 148
energy = -394.728 eV/cell
energy relative to the elements = -0.983 eV per atom

---

VASP calculation (r²SCAN) on a relaxed HoPd crystal.

Structure (POSCAR):
```
HoPd
1.0
3.471 0.000 0.000
0.000 3.471 0.000
0.000 0.000 3.471
Ho Pd
1 1
direct
0.000 0.000 0.000
0.500 0.500 0.500
```

Computed properties:
magnetic moment = 0.000 μB per cell
symmetry = Pm-3m, No. 221
energy = -57.733 eV/cell
energy relative to the elements = -0.945 eV per atom

---

VASP calculation (r²SCAN) on a relaxed Ho2PdRh crystal.

Structure (POSCAR):
```
Ho2PdRh
1.0
0.000 3.426 3.426
3.426 0.000 3.426
3.426 3.426 0.000
Ho Pd Rh
2 1 1
direct
0.250 0.250 0.250
0.750 0.750 0.750
0.000 0.000 0.000
0.500 0.500 0.500
```

Computed properties:
magnetic moment = 0.000 μB per cell
symmetry = Fm-3m, No. 225
energy = -116.674 eV/cell
energy relative to the elements = -0.954 eV per atom

---

VASP calculation (r²SCAN) on a relaxed Ho2PdRu crystal.

Structure (POSCAR):
```
Ho2PdRu
1.0
0.000 3.411 3.411
3.411 0.000 3.411
3.411 3.411 0.000
Ho Pd Ru
2 1 1
direct
0.250 0.250 0.250
0.750 0.750 0.750
0.000 0.000 0.000
0.500 0.500 0.500
```

Computed properties:
magnetic moment = 0.000 μB per cell
symmetry = Fm-3m, No. 225
energy = -116.991 eV/cell
energy relative to the elements = -0.711 eV per atom